1.
Crystalline MgMn5FeO12 at its relaxed geometry. Source: the Materials Project database, functional PBE with a Hubbard U.

Results
- mass density (g/cm3) = 4.08
- symmetry = No. 8
- volume (Å³ per atom) = 11.70
- total energy after the MP2020 corrections (eV/atom) = -7.9507
- offset from the most stable computed form (meV per atom) = 7.0
- uncorrected energy (eV/atom) = -6.959
- formation energy from the elements (kJ/mol of formula units) = -3455

The structure in POSCAR format:
```
MgMn5FeO12
1.0
2.194 -1.867 4.181
5.068 0.419 0.611
-1.793 9.105 3.508
Fe Mn O Mg
1 5 12 1
Cartesian
2.106 -1.475 4.304
0.228 3.588 3.889
3.032 8.060 6.586
2.872 4.460 2.890
2.659 3.080 5.469
0.612 8.542 4.989
1.052 2.105 4.746
0.655 0.159 1.904
2.457 7.889 4.718
3.750 3.042 3.862
-0.660 5.130 2.915
-0.198 6.941 5.811
2.130 6.471 7.339
1.701 4.594 4.674
1.290 3.511 2.279
3.053 1.112 0.759
3.102 -0.179 3.240
4.341 4.186 6.190
0.676 5.143 6.512
```

2.
Crystalline CsFeNiF6 at its relaxed geometry. Source: the Materials Project database, functional PBE with a Hubbard U.

Results
- mass density (g/cm3) = 4.14
- symmetry = No. 74
- volume (Å³ per atom) = 16.10
- total energy after the MP2020 corrections (eV/atom) = -5.6373
- uncorrected energy (eV/atom) = -4.796
- formation energy from the elements (kJ/mol of formula units) = -2326

The structure in POSCAR format:
```
CsFeNiF6
1.0
-3.690 3.744 5.243
3.690 -3.744 5.243
3.690 3.744 -5.243
F Ni Fe Cs
12 2 2 2
Cartesian
3.690 1.872 1.846
2.293 3.347 3.966
3.690 -1.872 4.550
-2.293 3.347 3.966
0.000 5.616 0.694
5.983 0.397 1.278
2.293 0.397 3.966
1.396 0.397 1.278
2.293 -0.397 6.521
0.000 1.872 3.397
1.396 3.347 1.278
1.396 4.141 -1.278
-1.845 1.872 2.622
1.845 1.872 2.622
0.000 0.000 0.000
0.000 3.744 0.000
3.690 1.872 -1.270
0.000 1.872 6.513
```

3.
Crystalline Ca4Al6WO16 at its relaxed geometry. Source: the Materials Project database, functional PBE with a Hubbard U.

Results
- mass density (g/cm3) = 3.13
- symmetry = No. 39
- volume (Å³ per atom) = 14.97
- total energy after the MP2020 corrections (eV/atom) = -7.6416
- offset from the most stable computed form (meV per atom) = 190.9
- uncorrected energy (eV/atom) = -7.070
- formation energy from the elements (kJ/mol of formula units) = -8076

The structure in POSCAR format:
```
Ca4Al6WO16
1.0
8.071 -0.341 0.000
-2.956 7.518 0.000
0.000 0.000 13.549
O Ca W Al
32 8 2 12
Cartesian
5.113 1.341 5.370
4.096 2.374 11.047
-0.208 2.037 5.876
3.686 6.326 1.426
3.890 3.170 3.317
-0.401 5.270 8.179
4.777 5.548 12.123
6.279 1.034 8.327
4.443 2.343 8.327
2.349 5.625 7.673
6.421 0.716 11.047
-1.623 7.099 10.232
1.993 0.468 7.673
7.240 0.782 3.317
-0.477 1.834 0.590
-1.071 6.273 5.222
2.220 1.959 1.426
4.446 3.736 0.590
0.908 4.646 2.502
4.969 5.611 8.157
2.411 2.023 5.392
1.126 2.939 8.157
0.765 4.964 5.222
4.551 4.056 5.876
3.683 6.528 5.392
1.727 4.711 10.232
-0.594 4.999 12.196
1.889 0.148 12.959
-1.418 6.303 2.502
1.128 2.737 12.123
2.081 5.422 12.959
4.919 1.070 1.353
6.166 2.819 12.939
3.745 5.993 10.119
1.188 2.405 3.430
0.653 6.749 0.610
6.448 3.215 7.011
0.935 7.144 6.538
4.443 5.496 3.430
1.885 1.907 10.119
5.340 1.660 9.891
-0.173 5.589 3.659
3.752 5.264 0.000
-1.518 6.570 8.544
1.086 4.476 11.870
6.599 0.547 1.679
1.193 4.638 8.544
3.995 2.641 5.005
1.194 1.676 0.000
3.877 2.487 1.679
-1.636 6.416 11.870
1.320 1.852 6.775
3.877 5.440 6.775
6.706 0.708 5.005
```

4.
Crystalline NiSb2O18 at its relaxed geometry. Source: the Materials Project database, functional PBE with a Hubbard U.

Results
- mass density (g/cm3) = 3.87
- symmetry = No. 143
- volume (Å³ per atom) = 12.07
- total energy after the MP2020 corrections (eV/atom) = -4.6722
- uncorrected energy (eV/atom) = -3.962
- formation energy from the elements (kJ/mol of formula units) = 481

The structure in POSCAR format:
```
NiSb2O18
1.0
14.290 0.000 0.000
-7.145 12.376 0.000
0.000 0.000 8.597
Sb O Ni
12 108 6
Cartesian
7.145 4.125 0.025
0.000 8.251 0.677
0.000 0.000 0.091
4.722 0.126 4.593
11.820 4.027 4.593
2.322 4.233 4.689
-4.640 8.248 4.689
0.000 8.251 4.913
0.000 0.000 4.451
7.145 4.125 4.378
4.893 8.223 4.593
2.318 12.270 4.689
-1.340 5.140 7.696
-1.080 7.009 1.871
3.686 7.139 1.326
8.070 8.755 5.882
4.888 1.742 5.813
0.984 11.374 3.449
2.015 10.971 1.501
2.760 5.541 7.969
6.814 5.725 3.164
0.431 1.594 7.498
6.675 10.697 1.105
-2.388 5.737 5.724
1.216 7.176 6.143
1.615 7.936 1.871
4.662 6.641 3.339
-2.024 10.966 7.696
10.496 4.526 7.817
10.338 3.362 5.813
8.484 1.069 1.547
5.779 9.317 7.826
9.889 6.595 5.849
0.890 3.328 3.555
0.967 11.996 7.969
1.689 0.433 1.105
8.157 7.496 3.502
8.286 2.905 7.463
-5.605 11.906 3.208
-4.387 9.683 7.969
12.856 0.812 5.666
-0.892 3.785 1.320
3.371 7.439 5.724
9.558 1.563 3.502
5.122 6.826 7.817
3.829 4.494 1.547
13.071 1.246 1.105
10.889 0.407 1.623
7.912 0.514 5.849
2.673 2.611 5.882
5.767 4.994 5.607
-0.363 1.569 3.208
2.053 2.742 1.623
9.123 6.812 1.547
1.421 0.836 5.666
12.324 2.713 7.826
7.159 10.727 5.666
5.549 11.952 7.498
-3.421 11.256 1.320
-1.538 7.735 6.143
8.587 4.884 5.607
8.493 9.227 1.623
0.466 6.559 8.289
0.884 4.874 5.961
1.232 9.500 8.289
-3.873 11.767 5.827
-3.726 7.215 7.969
3.635 5.266 5.849
7.632 5.724 7.463
-5.980 11.205 7.498
3.364 8.646 7.696
5.926 3.039 3.164
10.005 1.523 8.044
5.518 3.748 7.463
-2.704 10.812 3.463
1.348 5.145 1.501
10.924 3.161 1.441
6.350 8.978 3.402
3.720 3.316 3.502
4.421 1.334 1.441
3.434 11.333 7.969
4.314 9.711 1.320
-2.806 5.614 1.326
-0.880 11.999 1.326
0.051 6.589 3.717
6.718 2.433 1.030
2.482 10.705 5.961
-3.363 8.635 1.501
-0.983 11.575 5.724
3.333 0.346 7.826
-3.197 7.541 3.449
-1.109 3.138 5.827
11.745 2.387 3.402
4.982 9.847 5.827
0.953 3.735 7.969
-4.708 9.941 3.555
7.969 7.903 8.044
-1.698 8.693 8.289
3.340 1.011 3.402
-3.366 9.173 5.961
-1.465 9.037 3.717
7.082 2.497 5.607
-0.866 4.628 3.463
6.210 7.272 5.813
1.413 9.126 3.717
6.208 0.717 3.339
2.213 5.837 3.449
8.696 3.612 3.164
10.566 5.018 3.339
6.090 7.880 1.441
8.824 4.602 1.030
-0.535 9.807 1.871
5.817 1.023 7.817
10.692 1.010 5.882
3.462 2.950 8.044
3.818 11.482 3.555
5.968 11.277 3.208
3.571 9.312 3.463
5.893 5.341 1.030
0.323 9.841 6.143
4.707 8.260 0.288
-2.362 12.323 0.288
9.479 8.235 0.436
9.537 0.049 0.436
-2.346 4.169 0.288
2.419 4.092 0.436
```

5.
Crystalline MgCo2Mo2O8 at its relaxed geometry. Source: the Materials Project database, functional PBE with a Hubbard U.

Results
- mass density (g/cm3) = 5.11
- symmetry = No. 3
- volume (Å³ per atom) = 11.56
- total energy after the MP2020 corrections (eV/atom) = -7.6136
- offset from the most stable computed form (meV per atom) = 207.4
- uncorrected energy (eV/atom) = -6.446
- formation energy from the elements (kJ/mol of formula units) = -2112

The structure in POSCAR format:
```
MgCo2Mo2O8
1.0
-3.795 -1.726 -2.620
0.496 -4.716 1.951
-3.713 1.441 4.428
O Mo Co Mg
8 2 2 1
Cartesian
-1.012 -2.906 1.125
-2.247 -0.263 1.092
-4.684 -4.668 2.549
-2.992 -5.525 0.317
-3.980 -2.780 0.459
-2.962 -2.348 3.238
-6.095 -2.155 2.718
-4.059 0.635 3.516
-2.788 -2.310 5.232
-0.440 -0.960 1.161
-2.804 -3.904 1.677
-4.151 -1.119 2.013
-1.062 -2.980 3.173
```

6.
Crystalline Mn3Ga2Ge3O12 at its relaxed geometry. Source: the Materials Project database, functional PBE with a Hubbard U.

Results
- mass density (g/cm3) = 5.23
- symmetry = No. 230
- volume (Å³ per atom) = 11.33
- total energy after the MP2020 corrections (eV/atom) = -7.4858
- uncorrected energy (eV/atom) = -6.823
- formation energy from the elements (kJ/mol of formula units) = -4142

The structure in POSCAR format:
```
Mn3Ga2Ge3O12
1.0
-6.097 6.097 6.097
6.097 -6.097 6.097
6.097 6.097 -6.097
Ga Ge O Mn
8 12 48 12
Cartesian
0.000 0.000 0.000
6.097 0.000 0.000
-3.048 3.048 3.048
0.000 0.000 6.097
0.000 6.097 0.000
3.048 3.048 3.048
3.048 3.048 -3.048
3.048 -3.048 3.048
0.000 9.145 1.524
4.572 6.097 -3.048
3.048 1.524 6.097
4.572 0.000 3.048
6.097 3.048 1.524
6.097 -3.048 4.572
-3.048 4.572 6.097
3.048 4.572 0.000
1.524 0.000 9.145
0.000 3.048 4.572
1.524 6.097 3.048
9.145 1.524 0.000
2.698 4.913 3.670
3.399 -1.184 3.670
1.184 2.426 3.399
1.864 -0.350 0.622
3.670 2.698 4.913
4.232 0.350 6.719
3.399 1.184 2.426
9.495 -1.184 2.426
8.523 2.698 -1.184
2.698 -1.184 8.523
5.746 -0.622 1.864
0.622 4.232 5.746
2.426 2.698 7.280
0.622 1.864 -0.350
-1.184 3.670 3.399
0.350 0.622 7.961
-2.426 3.399 7.280
2.426 9.495 -1.184
2.698 7.280 2.426
7.280 2.426 2.698
-0.622 1.864 5.746
5.746 5.475 -1.864
0.350 5.475 1.864
4.232 6.447 5.475
3.670 -3.399 7.280
7.280 3.670 -3.399
3.670 3.399 -1.184
6.447 5.475 4.232
-3.399 7.280 3.670
7.280 -2.426 3.399
-1.864 5.746 5.475
0.350 6.719 4.232
5.475 1.864 0.350
6.719 4.232 0.350
5.475 -1.864 5.746
4.913 3.670 2.698
1.864 5.746 -0.622
5.746 0.622 4.232
4.232 5.746 0.622
5.475 4.232 6.447
3.399 7.280 -2.426
-0.350 0.622 1.864
-1.184 8.523 2.698
0.622 7.961 0.350
-1.184 2.426 9.495
1.864 0.350 5.475
2.426 3.399 1.184
7.961 0.350 0.622
3.048 1.524 0.000
-1.524 6.097 3.048
6.097 3.048 -1.524
7.621 0.000 3.048
3.048 -1.524 6.097
1.524 0.000 3.048
0.000 3.048 1.524
6.097 3.048 4.572
4.572 6.097 3.048
0.000 3.048 7.621
3.048 4.572 6.097
3.048 7.621 0.000
```

> Which of these has the highest mass density?

Mn3Ga2Ge3O12